(1)
An optimized crystal structure of MnCrP2O8. Source: Materials Project, functional PBE with a Hubbard U.

The structure in extended XYZ format:
```
24
Lattice="-1.4013 -1.5521 4.3632 -2.2050 -8.6848 -4.1269 5.4644 -1.8999 1.0802" Properties=species:S:1:pos:R:3 pbc="T T T"
Cr -1.1123 -8.0592 -0.5376
Cr 2.9712 -4.0772 1.8536
O 1.7775 -2.7073 0.9116
O 3.4254 -5.8453 2.9069
O 1.2220 -5.0787 2.4719
O -1.1747 -9.1654 -2.1685
O 0.1108 -2.6000 2.8843
O 3.0329 -2.9714 3.4851
O -1.5673 -6.2918 -1.5908
O 2.3455 -10.2156 0.8534
O 0.6360 -7.0580 -1.1555
O -1.0941 -7.0431 1.1609
O 1.6841 -7.5821 2.1922
O 0.1735 -4.5554 -0.8752
O 2.9526 -5.0932 0.1550
O 0.0808 -9.4292 0.4052
O -0.4869 -1.9205 0.4632
O 1.7468 -9.5374 -1.5679
P 1.9356 -6.3552 3.0814
P -0.0776 -5.7813 -1.7651
P 1.2477 -10.2373 -0.2745
P 0.6104 -1.9000 1.5914
Mn 2.4076 -7.8015 -1.8618
Mn -0.5503 -4.3359 3.1789
```

The MP2020-corrected energy comes out at -198.39 eV for the cell shown. Its magnetization is 0.00 μB per cell. As for the space group: No. 11. Its total energy is -7.50 eV/atom. Its distance to the lowest polymorph of the same formula is 0 meV/atom. The calculation puts the formation energy from the elements at -2.497 eV/atom.



(2)
An optimized crystal structure of MnCrP2O8. Source: Materials Project, functional PBE with a Hubbard U.

The structure in extended XYZ format:
```
36
Lattice="-5.9409 5.9386 0.1057 -7.4207 -1.7104 -3.5470 -6.6588 -1.1005 5.0022" Properties=species:S:1:pos:R:3 pbc="T T T"
P -11.8848 -0.5030 2.8549
P -8.0391 1.7745 3.6248
P -11.9810 1.3418 -2.0754
P -8.8623 -1.4895 -0.3941
P -11.1531 4.6320 1.9508
P -8.1322 3.6258 -1.2789
O -10.5929 -0.7130 3.6146
O -9.4434 3.8351 -2.0082
O -11.1878 3.1413 1.4456
O -6.4081 0.9061 -1.2536
O -13.6163 2.2003 2.8229
O -9.1458 2.6719 4.1393
O -10.9001 0.4250 -2.6059
O -8.4349 1.4966 2.1360
O -11.5861 1.5999 -0.5735
O -5.9601 2.5098 1.2780
O -8.4582 2.5221 -0.2179
O -12.3731 -1.7498 2.0348
O -8.8285 -0.0004 0.0873
O -7.6562 4.8886 -0.4556
O -11.5535 0.6216 1.8042
O -14.0627 0.6219 0.2603
O -8.7623 -1.4356 -1.9708
O -6.4148 -0.4816 1.4401
O -12.0447 2.7496 -2.7681
O -13.6029 3.6270 0.1354
O -9.8418 5.1833 1.4343
O -11.2695 4.5754 3.5157
O -10.1913 -2.0109 0.1128
O -7.9905 0.3603 4.3295
Cr -10.0065 1.5632 0.7802
Cr -20.0115 3.1263 1.5602
Cr -2.8489 0.4451 0.2221
Mn -7.1041 1.1098 0.5539
Mn -17.1213 2.6747 1.3349
Mn -12.9079 2.0165 1.0064
```

The MP2020-corrected energy comes out at -295.38 eV for the cell shown. Its magnetization is 21.00 μB per cell. As for the space group: No. 146. Its total energy is -7.44 eV/atom. Its distance to the lowest polymorph of the same formula is 61 meV/atom. The calculation puts the formation energy from the elements at -2.436 eV/atom.